--- A ---
Below is a relaxed structure of MgV4O7F5, with properties calculated at the PBE+U level.

Structure (POSCAR):
```
MgV4O7F5
1.0
-5.3424 -0.1079 -0.0729
-2.7627 -4.7079 -0.2109
0.0592 -2.4583 8.4600
F V O Mg
5 4 7 1
direct
0.9053 0.7568 0.5719
0.0589 0.2485 0.8201
0.9650 0.7344 0.1787
0.5686 0.2708 0.2957
0.5939 0.2111 0.9527
0.4371 0.9825 0.5278
0.2276 0.5144 0.7356
0.0472 0.9972 0.0027
0.7522 0.5046 0.2573
0.9955 0.2730 0.1225
0.5657 0.7596 0.3689
0.4592 0.2227 0.6364
0.4124 0.7337 0.6666
0.0747 0.7016 0.8862
0.4170 0.7445 0.0765
0.0909 0.2261 0.4274
0.3036 0.3810 0.1015
```

Output
Theoretical density ... 3.399 Mg/m³
M_tot ... 3.0 μB per formula unit


--- B ---
Below is a relaxed structure of MgV4O7F5, with properties calculated at the PBE+U level.

Structure (POSCAR):
```
MgV4O7F5
1.0
3.2049 2.5446 3.1901
5.6051 -4.1887 -2.4396
0.9652 4.0331 -3.5333
V O F Mg
4 7 5 1
direct
0.0080 0.0042 0.0052
0.0213 0.5150 0.0137
0.5100 0.0233 0.4804
0.4386 0.4975 0.4753
0.2991 0.4477 0.2041
0.4322 0.7333 0.5223
0.6949 0.9378 0.1675
0.2047 0.4469 0.7042
0.1264 0.7406 0.0145
0.5873 0.2446 0.4981
0.2883 0.0242 0.8009
0.8035 0.5317 0.3244
0.8986 0.2559 0.0052
0.7005 0.5684 0.8537
0.1888 0.0476 0.3095
0.7917 0.9437 0.6980
0.5060 0.7967 0.8979
```

Output
Theoretical density ... 3.467 Mg/m³
M_tot ... 3.0 μB per formula unit


Which structure is most stable? B, by 1.5 kJ/mol of atoms over the runner-up.


--- A ---
Below is a relaxed structure of MgV5Mo5O25, with properties calculated at the PBE+U level.

Structure (POSCAR):
```
MgV5Mo5O25
1.0
-16.3546 -7.8310 -6.2723
-1.6587 -5.1375 -0.9486
-0.1670 0.5394 6.5998
Mo O V Mg
5 25 5 1
direct
0.9972 0.0182 0.9933
0.4233 0.1404 0.5936
0.8315 0.1095 0.5891
0.2043 0.0032 0.0097
0.6221 0.1355 0.5843
0.5557 0.0197 0.6647
0.7278 0.1357 0.6608
0.3480 0.0812 0.6707
0.3408 0.5838 0.6065
0.2158 0.0719 0.2954
0.2762 0.0833 0.9381
0.0933 0.5783 0.0165
0.0753 0.0995 0.9451
0.1441 0.1020 0.6757
0.9899 0.1304 0.2746
0.7454 0.5692 0.5878
0.8841 0.0496 0.9229
0.1380 0.5975 0.5936
0.7852 0.0682 0.2765
0.9124 0.6049 0.5643
0.9537 0.0442 0.6602
0.7202 0.5724 0.0528
0.8717 0.6018 0.9843
0.4862 0.5498 0.0006
0.4889 0.0265 0.9267
0.4123 0.0749 0.3081
0.5220 0.5766 0.5819
0.6080 0.0707 0.2991
0.2910 0.5602 0.0005
0.6656 0.1138 0.9180
0.7840 0.0451 0.9839
0.6027 0.9864 0.9927
0.2216 0.1716 0.6115
0.0326 0.1239 0.6023
0.4065 0.9724 0.9928
0.8373 0.5891 0.2530
```

Output
Theoretical density ... 4.092 Mg/m³
M_tot ... 6.7 μB per formula unit


--- B ---
Below is a relaxed structure of MgV5Mo5O25, with properties calculated at the PBE+U level.

Structure (POSCAR):
```
MgV5Mo5O25
1.0
17.4414 -0.1502 -7.7773
3.5238 3.9211 -1.5677
0.5275 -0.0552 6.6124
O Mo V Mg
25 5 5 1
direct
0.7598 0.0177 0.6605
0.3210 0.6141 0.5853
0.4040 0.0950 0.3052
0.7873 0.1061 0.2803
0.1473 0.0863 0.6810
0.4653 0.1295 0.9199
0.0195 0.0590 0.2992
0.5960 0.0409 0.2770
0.2827 0.0552 0.9399
0.5314 0.1227 0.6608
0.6756 0.5704 0.9811
0.0856 0.5802 0.9908
0.5178 0.5956 0.0615
0.7168 0.5780 0.5630
0.1376 0.5914 0.6080
0.8931 0.5602 0.0087
0.9384 0.0970 0.6537
0.2852 0.5655 0.0082
0.5475 0.5628 0.5797
0.9414 0.5714 0.5862
0.3540 0.0483 0.6717
0.0747 0.0876 0.9330
0.8786 0.0834 0.9427
0.6807 0.0422 0.9159
0.2097 0.0969 0.2931
0.9944 0.0239 0.0169
0.6292 0.1197 0.5910
0.2022 0.0068 0.0109
0.4141 0.1741 0.5881
0.8342 0.0999 0.5831
0.0315 0.1424 0.6131
0.5946 0.0041 0.9796
0.7979 0.9833 0.9830
0.2223 0.1676 0.6146
0.4047 0.9988 0.9963
0.6407 0.5714 0.2488
```

Output
Theoretical density ... 4.077 Mg/m³
M_tot ... 7.0 μB per formula unit


Which structure is most stable? B, by 5.5 kJ/mol of atoms over the runner-up.